[1]
DFT (PBE with a Hubbard U) results for an optimized crystal structure of Fe4O3F5.

Lattice parameters (Å, degrees): 5.881 5.881 9.295 91.43 91.43 64.30
Positions (direct):
Fe1 0.000 0.500 0.000
Fe2 0.000 0.500 0.500
Fe3 0.019 0.019 0.264
Fe4 0.463 0.463 0.759
Fe5 0.500 0.000 0.000
Fe6 0.500 0.000 0.500
Fe7 0.537 0.537 0.241
Fe8 0.981 0.981 0.736
O1 0.144 0.649 0.643
O2 0.343 0.343 0.908
O3 0.351 0.856 0.357
O4 0.649 0.144 0.643
O5 0.657 0.657 0.092
O6 0.856 0.351 0.357
F1 0.141 0.141 0.102
F2 0.154 0.154 0.603
F3 0.163 0.669 0.163
F4 0.331 0.837 0.837
F5 0.342 0.342 0.402
F6 0.658 0.658 0.598
F7 0.669 0.163 0.163
F8 0.837 0.331 0.837
F9 0.846 0.846 0.397
F10 0.859 0.859 0.898

Calculated values
The value obtained for the total energy is -5.858 eV per atom. The value obtained for the formation energy is -2.12 eV per atom. The value obtained for the volume is 12.1 A^3/atom. For the energy above the most stable polymorph in this dataset, the calculation gives 91 kJ/mol of formula units.

[2]
DFT (PBE with a Hubbard U) results for an optimized crystal structure of Mn7SbAsO12.

Lattice parameters (Å, degrees): 11.095 11.095 11.095 147.44 58.89 132.36
Positions (direct):
Mn1 0.000 0.000 0.500
Mn2 0.000 0.500 0.000
Mn3 0.158 0.000 0.658
Mn4 0.158 0.500 0.158
Mn5 0.190 0.523 0.666
Mn6 0.205 0.131 0.074
Mn7 0.357 0.523 0.834
Mn8 0.444 0.869 0.574
Mn9 0.556 0.131 0.426
Mn10 0.643 0.477 0.166
Mn11 0.795 0.869 0.926
Mn12 0.810 0.477 0.334
Mn13 0.842 0.000 0.342
Mn14 0.842 0.500 0.842
Sb1 0.000 0.500 0.500
Sb2 0.500 0.500 0.000
As1 0.370 0.120 0.250
As2 0.630 0.880 0.750
O1 0.047 0.718 0.329
O2 0.080 0.281 0.355
O3 0.080 0.726 0.799
O4 0.111 0.282 0.829
O5 0.215 0.724 0.491
O6 0.261 0.243 0.482
O7 0.261 0.779 0.018
O8 0.267 0.276 0.991
O9 0.406 0.230 0.176
O10 0.427 0.281 0.701
O11 0.427 0.726 0.145
O12 0.446 0.770 0.676
O13 0.554 0.230 0.324
O14 0.573 0.274 0.855
O15 0.573 0.719 0.299
O16 0.594 0.770 0.824
O17 0.733 0.724 0.009
O18 0.739 0.221 0.982
O19 0.739 0.757 0.518
O20 0.785 0.276 0.509
O21 0.889 0.718 0.171
O22 0.920 0.274 0.201
O23 0.920 0.719 0.645
O24 0.953 0.282 0.671

Calculated values
The value obtained for the total energy is -7.355 eV per atom. The value obtained for the formation energy is -2.00 eV per atom. The value obtained for the volume is 12.8 A^3/atom.

[3]
DFT (PBE with a Hubbard U) results for an optimized crystal structure of Na3VH11IO13.

Lattice parameters (Å, degrees): 6.307 9.031 11.454 70.05 83.90 80.70
Positions (direct):
Na1 0.078 0.232 0.426
Na2 0.101 0.475 0.853
Na3 0.174 0.073 0.160
Na4 0.826 0.927 0.840
Na5 0.899 0.525 0.147
Na6 0.922 0.768 0.574
V1 0.448 0.824 0.462
V2 0.552 0.176 0.538
H1 0.054 0.816 0.065
H2 0.101 0.423 0.618
H3 0.145 0.566 0.354
H4 0.185 0.136 0.905
H5 0.206 0.135 0.703
H6 0.309 0.591 0.989
H7 0.348 0.410 0.075
H8 0.376 0.841 0.006
H9 0.386 0.751 0.150
H10 0.426 0.371 0.680
H11 0.495 0.518 0.708
H12 0.505 0.482 0.292
H13 0.574 0.629 0.320
H14 0.614 0.249 0.850
H15 0.624 0.159 0.994
H16 0.652 0.590 0.925
H17 0.691 0.409 0.011
H18 0.794 0.865 0.297
H19 0.815 0.864 0.095
H20 0.855 0.434 0.646
H21 0.899 0.577 0.382
H22 0.946 0.184 0.935
I1 0.349 0.862 0.721
I2 0.651 0.138 0.279
O1 0.020 0.520 0.345
O2 0.094 0.198 0.951
O3 0.111 0.758 0.753
O4 0.173 0.034 0.772
O5 0.236 0.498 0.035
O6 0.247 0.734 0.450
O7 0.285 0.979 0.550
O8 0.313 0.848 0.087
O9 0.319 0.276 0.587
O10 0.414 0.008 0.316
O11 0.460 0.762 0.877
O12 0.461 0.408 0.748
O13 0.475 0.276 0.359
O14 0.525 0.724 0.641
O15 0.539 0.592 0.252
O16 0.540 0.238 0.123
O17 0.586 0.992 0.684
O18 0.681 0.724 0.413
O19 0.687 0.152 0.913
O20 0.715 0.021 0.450
O21 0.753 0.266 0.550
O22 0.764 0.502 0.965
O23 0.827 0.966 0.228
O24 0.889 0.242 0.247
O25 0.906 0.802 0.049
O26 0.980 0.480 0.655

Calculated values
The value obtained for the total energy is -5.129 eV per atom. The value obtained for the formation energy is -1.49 eV per atom. The value obtained for the volume is 10.4 A^3/atom. For the energy above the most stable polymorph in this dataset, the calculation gives 0 kJ/mol of formula units.

[4]
DFT (PBE with a Hubbard U) results for an optimized crystal structure of VH10SeNO9.

Lattice parameters (Å, degrees): 6.453 10.192 6.962 90.00 108.79 90.00
Positions (direct):
V1 0.115 0.000 0.397
V2 0.885 0.500 0.603
H1 0.035 0.767 0.665
H2 0.091 0.651 0.262
H3 0.106 0.656 0.023
H4 0.180 0.265 0.265
H5 0.267 0.551 0.197
H6 0.270 0.212 0.690
H7 0.296 0.083 0.816
H8 0.312 0.717 0.216
H9 0.378 0.350 0.080
H10 0.472 0.863 0.696
H11 0.528 0.363 0.304
H12 0.622 0.850 0.920
H13 0.688 0.217 0.784
H14 0.704 0.583 0.184
H15 0.730 0.712 0.310
H16 0.733 0.051 0.803
H17 0.820 0.765 0.735
H18 0.894 0.156 0.977
H19 0.909 0.151 0.738
H20 0.965 0.267 0.335
Se1 0.432 0.500 0.730
Se2 0.568 0.000 0.270
N1 0.194 0.644 0.176
N2 0.806 0.144 0.824
O1 0.035 0.942 0.164
O2 0.055 0.210 0.275
O3 0.177 0.536 0.572
O4 0.182 0.868 0.551
O5 0.203 0.124 0.688
O6 0.373 0.370 0.216
O7 0.421 0.052 0.419
O8 0.455 0.340 0.772
O9 0.493 0.588 0.940
O10 0.507 0.088 0.060
O11 0.545 0.840 0.228
O12 0.579 0.552 0.581
O13 0.627 0.870 0.784
O14 0.797 0.624 0.312
O15 0.818 0.368 0.449
O16 0.823 0.036 0.428
O17 0.945 0.710 0.725
O18 0.965 0.442 0.836

Calculated values
The value obtained for the total energy is -5.410 eV per atom. The value obtained for the formation energy is -1.25 eV per atom. The value obtained for the volume is 9.9 A^3/atom.

[5]
DFT (PBE with a Hubbard U) results for an optimized crystal structure of Na3CrF6.

Lattice parameters (Å, degrees): 5.800 5.800 5.800 60.00 60.00 60.00
Positions (direct):
Na1 0.000 0.000 0.000
Na2 0.250 0.250 0.250
Na3 0.750 0.750 0.750
Cr1 0.500 0.500 0.500
F1 0.266 0.266 0.734
F2 0.266 0.734 0.266
F3 0.266 0.734 0.734
F4 0.734 0.266 0.266
F5 0.734 0.266 0.734
F6 0.734 0.734 0.266

Calculated values
The value obtained for the total energy is -5.016 eV per atom. The value obtained for the formation energy is -2.98 eV per atom. The value obtained for the volume is 13.8 A^3/atom. For the energy above the most stable polymorph in this dataset, the calculation gives 82 kJ/mol of formula units.

[6]
DFT (PBE with a Hubbard U) results for an optimized crystal structure of Li9Mn12Cu3O32.

Lattice parameters (Å, degrees): 8.290 8.290 8.290 90.22 90.22 90.22
Positions (direct):
Li1 0.000 0.000 0.000
Li2 0.124 0.368 0.869
Li3 0.242 0.242 0.242
Li4 0.368 0.869 0.124
Li5 0.493 0.495 0.994
Li6 0.495 0.994 0.493
Li7 0.621 0.621 0.621
Li8 0.869 0.124 0.368
Li9 0.994 0.493 0.495
Mn1 0.120 0.617 0.125
Mn2 0.123 0.869 0.368
Mn3 0.125 0.120 0.617
Mn4 0.364 0.621 0.369
Mn5 0.368 0.123 0.869
Mn6 0.369 0.364 0.621
Mn7 0.617 0.125 0.120
Mn8 0.621 0.369 0.364
Mn9 0.622 0.870 0.868
Mn10 0.868 0.622 0.870
Mn11 0.869 0.368 0.123
Mn12 0.870 0.868 0.622
Cu1 0.253 0.734 0.755
Cu2 0.734 0.755 0.253
Cu3 0.755 0.253 0.734
O1 0.096 0.387 0.123
O2 0.104 0.629 0.892
O3 0.109 0.880 0.608
O4 0.118 0.848 0.145
O5 0.123 0.096 0.387
O6 0.133 0.630 0.357
O7 0.141 0.348 0.615
O8 0.145 0.118 0.848
O9 0.348 0.615 0.141
O10 0.348 0.848 0.374
O11 0.357 0.133 0.630
O12 0.370 0.596 0.608
O13 0.374 0.348 0.848
O14 0.383 0.383 0.383
O15 0.387 0.123 0.096
O16 0.393 0.884 0.864
O17 0.596 0.608 0.370
O18 0.608 0.109 0.880
O19 0.608 0.370 0.596
O20 0.615 0.141 0.348
O21 0.629 0.892 0.104
O22 0.630 0.357 0.133
O23 0.639 0.643 0.874
O24 0.643 0.874 0.639
O25 0.848 0.145 0.118
O26 0.848 0.374 0.348
O27 0.860 0.860 0.860
O28 0.864 0.393 0.884
O29 0.874 0.639 0.643
O30 0.880 0.608 0.109
O31 0.884 0.864 0.393
O32 0.892 0.104 0.629

Calculated values
The value obtained for the total energy is -6.454 eV per atom. The value obtained for the formation energy is -1.89 eV per atom. The value obtained for the volume is 10.2 A^3/atom.